#P
VZnSi2O6: relaxed, GGA+U.

The structure in POSCAR format:
```
VZnSi2O6
1.0
-4.6791 -1.9994 1.3729
-1.6870 -1.9916 -8.6497
7.9240 -16.9289 2.3525
V Zn Si O
8 8 16 48
Direct
0.3503 0.9776 0.8776
0.6497 0.0224 0.1224
0.8503 0.0224 0.6224
0.1497 0.9776 0.3776
0.3503 0.4776 0.6224
0.6497 0.5224 0.3776
0.8503 0.5224 0.8776
0.1497 0.4776 0.1224
0.6334 0.1484 0.3768
0.3666 0.8516 0.6232
0.6334 0.6484 0.1232
0.1334 0.8516 0.1232
0.8666 0.1484 0.8768
0.3666 0.3516 0.8768
0.1334 0.3516 0.3768
0.8666 0.6484 0.6232
0.5484 0.6588 0.7677
0.6993 0.8367 0.4751
0.8007 0.8367 0.9751
0.9516 0.1588 0.2323
0.0484 0.3412 0.7323
0.4516 0.8412 0.2677
0.1993 0.6633 0.4751
0.6993 0.3367 0.0249
0.8007 0.3367 0.5249
0.9516 0.6588 0.2677
0.4516 0.3412 0.2323
0.5484 0.1588 0.7323
0.3007 0.1633 0.5249
0.0484 0.8412 0.7677
0.3007 0.6633 0.9751
0.1993 0.1633 0.0249
0.9635 0.5019 0.3081
0.3002 0.0177 0.0646
0.0365 0.4981 0.6919
0.7016 0.3391 0.9381
0.2016 0.1609 0.9381
0.8976 0.1990 0.0515
0.9667 0.6567 0.1812
0.0333 0.8433 0.6812
0.7016 0.8391 0.5619
0.9667 0.1567 0.3188
0.4635 0.4981 0.1919
0.7984 0.3391 0.4381
0.6998 0.9823 0.9354
0.4667 0.8433 0.1812
0.5365 0.0019 0.6919
0.3002 0.5177 0.4354
0.4635 0.9981 0.3081
0.1711 0.7765 0.2974
0.3289 0.7765 0.7974
0.6024 0.6990 0.9485
0.7984 0.8391 0.0619
0.5333 0.6567 0.6812
0.8002 0.4823 0.0646
0.1711 0.2765 0.2026
0.2984 0.1609 0.4381
0.5333 0.1567 0.8188
0.6998 0.4823 0.5646
0.2016 0.6609 0.5619
0.1998 0.5177 0.9354
0.6711 0.7235 0.2974
0.0365 0.9981 0.8081
0.8289 0.7235 0.7974
0.8289 0.2235 0.7026
0.8002 0.9823 0.4354
0.2984 0.6609 0.0619
0.1998 0.0177 0.5646
0.3289 0.2765 0.7026
0.1024 0.8010 0.9485
0.3976 0.8010 0.4485
0.6711 0.2235 0.2026
0.3976 0.3010 0.0515
0.6024 0.1990 0.5515
0.1024 0.3010 0.5515
0.4667 0.3433 0.3188
0.5365 0.5019 0.8081
0.8976 0.6990 0.4485
0.0333 0.3433 0.8188
0.9635 0.0019 0.1919
```

space-group type = No. 61

=====

#Q
VZnSi2O6: relaxed, GGA+U.

The structure in POSCAR format:
```
VZnSi2O6
1.0
-4.9369 2.0262 0.7676
3.4593 -0.1002 8.8373
3.3698 8.6732 -1.2208
V Zn Si O
4 4 8 24
Direct
0.2500 0.0000 0.9038
0.2500 0.5000 0.5962
0.7501 0.5000 0.4039
0.7499 0.0001 0.0961
0.2500 0.5000 0.2604
0.7500 0.0000 0.7603
0.7500 0.5000 0.7397
0.2500 0.0000 0.2396
0.5261 0.3049 0.0840
0.0261 0.8049 0.5840
0.9738 0.6951 0.0840
0.4738 0.1951 0.5840
0.0262 0.3049 0.9160
0.5262 0.8049 0.4160
0.4738 0.6951 0.9160
0.9738 0.1951 0.4160
0.8183 0.3560 0.0237
0.3183 0.8560 0.5237
0.6817 0.6440 0.0237
0.1817 0.1440 0.5237
0.1817 0.6440 0.9763
0.6817 0.1440 0.4763
0.3183 0.3560 0.9763
0.8183 0.8560 0.4763
0.5049 0.3832 0.2367
0.0049 0.8832 0.7367
0.9951 0.6168 0.2367
0.4951 0.1168 0.7367
0.4951 0.6168 0.7633
0.9951 0.1168 0.2633
0.0049 0.3832 0.7633
0.5049 0.8832 0.2633
0.9632 0.1272 0.9143
0.4633 0.6272 0.4143
0.5368 0.8727 0.9143
0.0368 0.3727 0.4143
0.4632 0.1273 0.0857
0.9632 0.6272 0.5857
0.0367 0.8728 0.0857
0.5368 0.3728 0.5857
```

=====

Most stable: #Q (next structure +0.037 eV/atom)

=====

#P
Sm2WO6: relaxed, GGA+U.

The structure in POSCAR format:
```
Sm2WO6
1.0
-7.2943 -2.2481 6.5872
-5.1809 -8.1496 -2.8974
2.1240 -4.1026 3.0260
Sm W O
8 4 24
Direct
0.9424 0.7124 0.3845
0.7124 0.9424 0.8845
0.3678 0.6322 0.2500
0.8926 0.1074 0.2500
0.1074 0.8926 0.7500
0.6322 0.3678 0.7500
0.2876 0.0576 0.1155
0.0576 0.2876 0.6155
0.8001 0.5048 0.0651
0.5048 0.8001 0.5651
0.4952 0.1999 0.4349
0.1999 0.4952 0.9349
0.8930 0.9228 0.0785
0.9228 0.8930 0.5785
0.5275 0.9360 0.2676
0.7835 0.6792 0.1463
0.9360 0.5275 0.7676
0.6792 0.7835 0.6463
0.8250 0.3817 0.3774
0.3817 0.8250 0.8774
0.6138 0.5438 0.0223
0.3158 0.8390 0.4206
0.5438 0.6138 0.5223
0.8390 0.3158 0.9206
0.1610 0.6842 0.0794
0.4562 0.3862 0.4777
0.6842 0.1610 0.5794
0.3862 0.4562 0.9777
0.6183 0.1750 0.1226
0.1750 0.6183 0.6226
0.3208 0.2165 0.3537
0.0640 0.4725 0.2324
0.2165 0.3208 0.8537
0.4725 0.0640 0.7324
0.0772 0.1070 0.4215
0.1070 0.0772 0.9215
```

space-group type = No. 15

=====

#Q
Sm2WO6: relaxed, GGA+U.

The structure in POSCAR format:
```
Sm2WO6
1.0
-3.0512 -0.1972 4.4355
-4.7703 -7.1462 -3.5993
6.5782 -6.5242 4.2351
Sm W O
8 4 24
Direct
0.0207 0.3965 0.0350
0.0360 0.2812 0.6295
0.4640 0.7188 0.1295
0.4793 0.6035 0.5350
0.5207 0.1035 0.9650
0.5360 0.2188 0.3705
0.9640 0.7812 0.8705
0.9793 0.8965 0.4650
0.0400 0.0039 0.1514
0.4600 0.9961 0.6514
0.5400 0.4961 0.8486
0.9600 0.5039 0.3486
0.0802 0.6538 0.4692
0.1721 0.5481 0.2059
0.1868 0.8634 0.6805
0.1898 0.8619 0.2627
0.2265 0.3872 0.4325
0.2520 0.0895 0.5091
0.2480 0.9105 0.0091
0.2735 0.6128 0.9325
0.3102 0.1381 0.7627
0.3132 0.1366 0.1805
0.3279 0.4519 0.7059
0.4198 0.3462 0.9692
0.5802 0.8462 0.5308
0.6721 0.9519 0.7941
0.6868 0.6366 0.3195
0.6898 0.6381 0.7373
0.7265 0.1128 0.5675
0.7520 0.4105 0.4909
0.7480 0.5895 0.9909
0.7735 0.8872 0.0675
0.8102 0.3619 0.2373
0.8132 0.3634 0.8195
0.8279 0.0481 0.2941
0.9198 0.1538 0.0308
```

space-group type = No. 19

=====

Most stable: #Q (next structure +0.034 eV/atom)

=====

#P
SnW2O8: relaxed, GGA+U.

The structure in POSCAR format:
```
SnW2O8
1.0
5.8836 0.0000 0.0000
0.0000 5.0964 0.0000
0.0000 4.9299 9.5808
Sn W O
2 4 16
Direct
0.3392 0.5000 0.7500
0.6608 0.5000 0.2500
0.1689 0.2731 0.4912
0.1689 0.7269 0.0088
0.8311 0.7269 0.5088
0.8311 0.2731 0.9912
0.3445 0.7196 0.8678
0.3445 0.2804 0.6322
0.6555 0.2804 0.1322
0.6555 0.7196 0.3678
0.8929 0.1792 0.3947
0.8929 0.8208 0.1053
0.1071 0.8208 0.6053
0.1071 0.1792 0.8947
0.6051 0.2524 0.8798
0.6051 0.7476 0.6202
0.3949 0.7476 0.1202
0.3949 0.2524 0.3798
0.8963 0.6689 0.8902
0.1037 0.3311 0.1098
0.8963 0.3311 0.6098
0.1037 0.6689 0.3902
```

space-group type = No. 13

=====

#Q
SnW2O8: relaxed, GGA+U.

The structure in POSCAR format:
```
SnW2O8
1.0
-3.4940 -1.3982 3.4966
4.7761 -1.9021 1.9169
-0.6352 6.4880 1.6020
Sn W O
1 2 8
Direct
0.5000 0.0000 0.0000
0.2440 0.5278 0.1869
0.7560 0.4722 0.8131
0.1692 0.7069 0.4320
0.3603 0.2598 0.2415
0.1241 0.7014 0.9703
0.4163 0.2378 0.8354
0.6397 0.7402 0.7585
0.8308 0.2931 0.5680
0.8759 0.2986 0.0297
0.5837 0.7622 0.1646
```

space-group type = No. 2

=====

Most stable: #P (next structure +0.057 eV/atom)

=====

#P
SnW3O9: relaxed, GGA+U.

The structure in POSCAR format:
```
SnW3O9
1.0
-3.7698 -5.5539 -3.8124
5.8340 -4.7299 1.1217
0.1668 -4.3797 6.2155
Sn W O
2 6 18
Direct
0.2500 0.9443 0.9958
0.7500 0.0557 0.0042
0.7500 0.9961 0.5027
0.2500 0.0039 0.4973
0.2500 0.4934 0.9974
0.7500 0.5066 0.0026
0.7500 0.4974 0.5027
0.2500 0.5026 0.4973
0.0000 0.0000 0.5000
0.5000 0.0000 0.5000
0.2500 0.8025 0.7978
0.7500 0.7852 0.7817
0.2500 0.7982 0.4200
0.7500 0.7968 0.4144
0.0000 0.5000 0.0000
0.5000 0.5000 0.0000
0.7500 0.3942 0.8084
0.2500 0.4287 0.7904
0.5000 0.5000 0.5000
0.0000 0.5000 0.5000
0.2500 0.6058 0.1916
0.7500 0.5713 0.2096
0.2500 0.2032 0.5856
0.7500 0.2018 0.5800
0.7500 0.1975 0.2022
0.2500 0.2148 0.2183
```

space-group type = No. 11

=====

#Q
SnW3O9: relaxed, GGA+U.

The structure in POSCAR format:
```
SnW3O9
1.0
3.7678 -6.5356 0.0000
3.7678 6.5356 0.0000
0.0000 0.0000 7.6451
Sn W O
2 6 18
Direct
0.9406 0.9406 0.7500
0.0594 0.0594 0.2500
0.5069 0.0061 0.2500
0.4931 0.9939 0.7500
0.4877 0.4877 0.7500
0.5123 0.5123 0.2500
0.0061 0.5069 0.2500
0.9939 0.4931 0.7500
0.5000 0.0000 0.5000
0.5000 0.0000 0.0000
0.6033 0.8013 0.7500
0.5637 0.7820 0.2500
0.2148 0.7887 0.7500
0.2113 0.7852 0.2500
0.5000 0.5000 0.5000
0.5000 0.5000 0.0000
0.1987 0.3967 0.2500
0.2180 0.4363 0.7500
0.0000 0.5000 0.0000
0.0000 0.5000 0.5000
0.8013 0.6033 0.7500
0.7820 0.5637 0.2500
0.7887 0.2148 0.7500
0.7852 0.2113 0.2500
0.3967 0.1987 0.2500
0.4363 0.2180 0.7500
```

space-group type = No. 63

=====

Most stable: #P (next structure +0.040 eV/atom)

=====

#P
YSnW2O8: relaxed, GGA+U.

The structure in POSCAR format:
```
YSnW2O8
1.0
5.7094 0.0000 0.0000
0.0000 5.3604 0.0000
0.0000 4.1709 10.3327
Y Sn W O
2 2 4 16
Direct
0.7285 0.0000 0.2500
0.2715 0.0000 0.7500
0.3220 0.5000 0.2500
0.6780 0.5000 0.7500
0.1723 0.2478 0.0020
0.1723 0.7522 0.4980
0.8277 0.7522 0.9980
0.8277 0.2478 0.5020
0.3934 0.7409 0.3699
0.3934 0.2591 0.1301
0.6066 0.2591 0.6301
0.6066 0.7409 0.8699
0.9293 0.1194 0.8860
0.9293 0.8806 0.6140
0.0707 0.8806 0.1140
0.0707 0.1194 0.3860
0.6100 0.2429 0.3688
0.6100 0.7571 0.1312
0.3900 0.7571 0.6312
0.3900 0.2429 0.8688
0.9024 0.6345 0.3989
0.0976 0.3655 0.6011
0.9024 0.3655 0.1011
0.0976 0.6345 0.8989
```

space-group type = No. 13

=====

#Q
YSnW2O8: relaxed, GGA+U.

The structure in POSCAR format:
```
YSnW2O8
1.0
2.1407 -4.4619 -1.6621
3.0465 2.8611 -4.5346
1.9225 1.2389 6.1108
Y Sn W O
1 1 2 8
Direct
0.4190 0.2809 0.0813
0.9973 0.8253 0.1444
0.2132 0.5586 0.5964
0.7332 0.2347 0.6155
0.6976 0.1661 0.8496
0.7597 0.9233 0.3908
0.6198 0.5705 0.7924
0.8274 0.3812 0.3980
0.2329 0.8815 0.8259
0.2236 0.5975 0.3137
0.3529 0.2115 0.3942
0.1234 0.3865 0.7938
```

space-group type = No. 1

=====

Most stable: #P (next structure +0.009 eV/atom)